# Na2Y2Al2SiS5O24 (PBE-GGA, relaxed)
data_Na2Y2Al2SiS5O24
_chemical_formula_sum 'Na6 Y6 Al6 Si3 S15 O72'
_cell_length_a 8.774
_cell_length_b 8.741
_cell_length_c 23.259
_cell_angle_alpha 89.57
_cell_angle_beta 90.49
_cell_angle_gamma 119.72
_symmetry_space_group_name_H-M 'P 1'
_symmetry_Int_Tables_number 1
loop_
_symmetry_equiv_pos_as_xyz
'x,y,z'
loop_
_atom_site_label
_atom_site_fract_x
_atom_site_fract_y
_atom_site_fract_z
Na1 0.989 0.986 0.502
Na2 0.999 0.000 0.001
Na3 0.671 0.323 0.837
Na4 0.635 0.308 0.322
Na5 0.329 0.680 0.172
Na6 0.388 0.693 0.671
Y1 0.013 0.002 0.340
Y2 0.976 0.985 0.648
Y3 0.668 0.330 0.691
Y4 0.663 0.342 0.476
Y5 0.350 0.669 0.521
Y6 0.348 0.675 0.823
Al1 0.997 0.000 0.842
Al2 0.005 0.990 0.158
Al3 0.659 0.324 0.180
Al4 0.668 0.332 0.989
Al5 0.334 0.665 0.018
Al6 0.331 0.688 0.313
Si1 0.311 0.003 0.244
Si2 0.707 0.006 0.759
Si3 0.671 0.634 0.584
S1 0.703 0.694 0.240
S2 0.994 0.295 0.239
S3 0.286 0.283 0.758
S4 0.997 0.710 0.761
S5 0.965 0.336 0.581
S6 0.366 0.038 0.582
S7 0.953 0.618 0.083
S8 0.664 0.042 0.082
S9 0.382 0.340 0.082
S10 0.630 0.655 0.929
S11 0.031 0.373 0.928
S12 0.341 0.971 0.928
S13 0.622 0.957 0.406
S14 0.333 0.390 0.403
S15 0.044 0.660 0.408
O1 0.247 0.055 0.302
O2 0.807 0.760 0.293
O3 0.946 0.189 0.293
O4 0.193 0.176 0.812
O5 0.004 0.814 0.814
O6 0.816 0.999 0.817
O7 0.793 0.994 0.700
O8 0.198 0.196 0.706
O9 0.025 0.811 0.708
O10 0.793 0.825 0.192
O11 0.020 0.194 0.192
O12 0.166 0.962 0.192
O13 0.870 0.328 0.634
O14 0.469 0.122 0.634
O15 0.677 0.538 0.643
O16 0.870 0.502 0.133
O17 0.632 0.125 0.132
O18 0.497 0.375 0.133
O19 0.466 0.308 0.031
O20 0.842 0.534 0.031
O21 0.694 0.156 0.030
O22 0.461 0.124 0.528
O23 0.658 0.529 0.524
O24 0.863 0.320 0.528
O25 0.529 0.683 0.976
O26 0.154 0.473 0.977
O27 0.313 0.844 0.976
O28 0.541 0.870 0.460
O29 0.331 0.473 0.457
O30 0.134 0.667 0.462
O31 0.146 0.664 0.357
O32 0.518 0.851 0.356
O33 0.335 0.495 0.352
O34 0.093 0.476 0.875
O35 0.380 0.907 0.875
O36 0.530 0.617 0.875
O37 0.017 0.815 0.407
O38 0.799 0.976 0.404
O39 0.172 0.215 0.403
O40 0.019 0.199 0.923
O41 0.182 0.987 0.921
O42 0.805 0.811 0.925
O43 0.005 0.191 0.580
O44 0.202 0.043 0.582
O45 0.844 0.825 0.576
O46 0.969 0.795 0.090
O47 0.821 0.022 0.090
O48 0.205 0.184 0.090
O49 0.697 0.184 0.763
O50 0.464 0.307 0.762
O51 0.827 0.548 0.762
O52 0.693 0.524 0.226
O53 0.847 0.326 0.225
O54 0.503 0.172 0.228
O55 0.646 0.495 0.941
O56 0.853 0.351 0.939
O57 0.497 0.147 0.940
O58 0.632 0.130 0.403
O59 0.491 0.370 0.401
O60 0.872 0.496 0.404
O61 0.365 0.502 0.072
O62 0.133 0.638 0.075
O63 0.503 0.864 0.073
O64 0.329 0.854 0.583
O65 0.497 0.655 0.588
O66 0.130 0.505 0.581
O67 0.325 0.822 0.256
O68 0.527 0.672 0.247
O69 0.157 0.464 0.247
O70 0.291 0.453 0.762
O71 0.140 0.670 0.766
O72 0.511 0.831 0.759
# Symmetry   P1 (1)
# VASP energy   -6.75 eV/atom
# DFT formation energy   -2.5406 eV per atom